# 1
PbF4 after structural relaxation. Source: the Materials Project, functional r²SCAN.

Properties
Total energy = -15.75 eV/atom
Space-group type = I4/mmm
ΔE_f = -9.95 eV per formula unit

extended XYZ file:
```
10
Lattice="4.294 0.000 0.000 0.000 4.294 0.000 0.000 0.000 7.866" Properties=species:S:1:pos:R:3 pbc="T T T"
Pb 0.000 0.000 0.000
Pb 2.147 2.147 3.933
F 0.000 0.000 1.981
F 0.000 0.000 5.885
F 0.000 2.147 0.000
F 0.000 2.147 3.933
F 2.147 0.000 0.000
F 2.147 0.000 3.933
F 2.147 2.147 1.952
F 2.147 2.147 5.914
```


# 2
BaMnO3 after structural relaxation. Source: the Materials Project, functional r²SCAN.

Properties
Total energy = -14.41 eV/atom
Space-group type = P6_3/mmc
ΔE_f = -12.93 eV per formula unit

extended XYZ file:
```
10
Lattice="5.726 0.000 0.000 -2.863 4.959 0.000 0.000 0.000 4.883" Properties=species:S:1:pos:R:3 pbc="T T T"
Ba 0.000 3.306 1.221
Ba 2.863 1.653 3.662
Mn 0.000 0.000 0.000
Mn 0.000 0.000 2.441
O 0.000 1.463 3.662
O -1.596 4.227 3.662
O 1.267 0.732 1.221
O 1.596 4.227 3.662
O 4.459 0.732 1.221
O 2.863 3.496 1.221
```


# 3
SnPt3 after structural relaxation. Source: the Materials Project, functional r²SCAN.

Properties
Total energy = -45.20 eV/atom
Space-group type = Pm-3m
ΔE_f = -1.61 eV per formula unit

extended XYZ file:
```
4
Lattice="4.029 0.000 0.000 0.000 4.029 0.000 0.000 0.000 4.029" Properties=species:S:1:pos:R:3 pbc="T T T"
Sn 0.000 0.000 0.000
Pt 0.000 2.015 2.015
Pt 2.015 0.000 2.015
Pt 2.015 2.015 0.000
```


# 4
TbCuNi4 after structural relaxation. Source: the Materials Project, functional r²SCAN.

Properties
Total energy = -15.29 eV/atom
Space-group type = P-6m2
ΔE_f = -1.73 eV per formula unit

extended XYZ file:
```
6
Lattice="4.872 0.000 0.000 -2.436 4.219 0.000 0.000 0.000 3.919" Properties=species:S:1:pos:R:3 pbc="T T T"
Tb 0.000 0.000 0.000
Cu 0.000 2.813 0.000
Ni 2.436 0.004 1.959
Ni 1.221 2.108 1.959
Ni 2.436 1.406 0.000
Ni 3.651 2.108 1.959
```


# 5
Ce3PI3 after structural relaxation. Source: the Materials Project, functional r²SCAN.

Properties
Total energy = -26.64 eV/atom
Space-group type = C2
ΔE_f = -11.30 eV per formula unit

extended XYZ file:
```
28
Lattice="6.216 -8.778 0.000 6.216 8.778 0.000 -6.205 0.000 8.809" Properties=species:S:1:pos:R:3 pbc="T T T"
Ce 0.000 0.000 0.000
Ce 2.885 -7.070 6.442
Ce 0.235 3.903 4.248
Ce 3.113 6.258 2.527
Ce -0.223 -0.168 4.244
Ce 3.115 6.258 6.281
Ce 2.885 2.028 2.370
Ce 3.342 2.028 6.439
Ce 5.992 3.903 4.560
Ce 6.216 -5.032 0.000
Ce 6.451 -0.168 4.564
Ce 3.342 -7.070 2.366
P 3.114 8.453 4.404
P 0.006 1.868 2.202
P 3.114 4.063 4.404
P 6.221 1.868 6.607
I -2.981 4.140 8.729
I -0.108 6.175 6.691
I 0.007 1.868 6.767
I 6.336 6.175 2.118
I 3.223 -0.407 0.082
I 9.208 4.140 0.079
I 6.220 1.868 2.041
I 0.126 -2.442 6.689
I 3.114 -0.490 4.404
I 6.102 -2.442 2.119
I 3.114 -4.550 4.404
I 3.004 -0.407 8.727
```


# 6
BaBi2S4 after structural relaxation. Source: the Materials Project, functional r²SCAN.

Properties
Total energy = -26.11 eV/atom
Space-group type = P-6
ΔE_f = -7.16 eV per formula unit

extended XYZ file:
```
63
Lattice="21.941 0.000 0.000 -10.971 19.002 0.000 0.000 0.000 4.155" Properties=species:S:1:pos:R:3 pbc="T T T"
Ba 0.000 0.000 0.000
Ba -3.826 9.712 2.078
Ba 3.772 2.929 0.000
Ba 0.000 12.668 2.078
Ba -0.647 17.459 2.078
Ba 4.473 10.833 2.078
Ba 10.971 6.334 2.078
Ba 17.519 1.803 0.000
Ba 11.621 14.271 0.000
Bi -3.130 5.703 0.000
Bi -6.533 12.835 2.078
Bi -7.407 16.878 2.078
Bi 0.058 4.148 2.078
Bi -0.076 8.519 0.000
Bi -3.555 14.808 0.000
Bi -4.466 18.861 0.000
Bi 3.122 6.926 2.078
Bi 8.710 2.690 2.078
Bi 6.614 6.421 0.000
Bi 3.631 14.676 0.000
Bi 3.411 18.242 2.078
Bi 13.074 2.517 0.000
Bi 8.945 10.114 2.078
Bi 7.597 13.439 0.000
Bi 7.350 16.978 2.078
Bi 15.257 6.198 2.078
Bi 13.225 10.064 0.000
S -6.035 10.991 0.000
S -1.453 3.245 0.000
S -7.036 14.736 0.000
S -1.764 7.141 2.078
S 1.512 2.043 2.078
S -7.434 18.638 0.000
S -3.554 13.036 2.078
S -1.544 10.620 0.000
S 1.727 5.540 0.000
S -3.905 16.959 2.078
S 1.458 9.406 2.078
S 5.984 1.675 2.078
S -1.002 15.029 0.000
S 5.075 5.076 2.078
S 4.470 8.280 0.000
S 9.060 0.718 0.000
S 2.546 12.355 0.000
S 2.096 15.562 2.078
S 8.801 4.621 0.000
S 7.949 7.597 2.078
S 1.565 18.733 0.000
S 11.388 3.085 2.078
S 7.062 10.796 0.000
S 5.668 13.904 2.078
S 5.309 17.727 0.000
S 10.572 9.069 0.000
S 15.008 1.857 2.078
S 13.539 5.312 0.000
S 9.430 12.982 2.078
S 8.887 16.121 0.000
S 13.575 8.319 2.078
S 19.417 0.288 2.078
S 12.829 12.068 2.078
S 17.499 4.344 2.078
S 16.789 7.487 0.000
S 11.984 16.671 2.078
```


# 7
DyYCd2 after structural relaxation. Source: the Materials Project, functional r²SCAN.

Properties
Total energy = -23.52 eV/atom
Space-group type = Fm-3m
ΔE_f = -1.58 eV per formula unit

extended XYZ file:
```
16
Lattice="7.456 0.000 0.000 0.000 7.456 0.000 0.000 0.000 7.456" Properties=species:S:1:pos:R:3 pbc="T T T"
Dy 0.000 0.000 0.000
Dy 0.000 3.728 3.728
Dy 3.728 0.000 3.728
Dy 3.728 3.728 0.000
Y 0.000 0.000 3.728
Y 0.000 3.728 0.000
Y 3.728 0.000 0.000
Y 3.728 3.728 3.728
Cd 1.864 1.864 1.864
Cd 1.864 1.864 5.592
Cd 1.864 5.592 1.864
Cd 1.864 5.592 5.592
Cd 5.592 1.864 1.864
Cd 5.592 1.864 5.592
Cd 5.592 5.592 1.864
Cd 5.592 5.592 5.592
```


# 8
Li3MnFe2B3O9 after structural relaxation. Source: the Materials Project, functional r²SCAN.

Properties
Total energy = -9.23 eV/atom
Space-group type = Pm
ΔE_f = -39.76 eV per formula unit

extended XYZ file:
```
36
Lattice="8.104 0.000 0.000 0.000 3.081 0.000 -0.036 0.000 14.055" Properties=species:S:1:pos:R:3 pbc="T T T"
Li 0.000 0.000 0.000
Li 0.158 0.000 4.158
Li 0.550 0.000 9.273
Li 4.058 0.000 7.049
Li 4.224 0.000 11.180
Li 4.626 0.000 2.201
Mn 1.386 1.541 6.617
Mn 1.884 1.541 2.041
Fe 1.485 1.541 11.712
Fe 5.484 1.541 13.649
Fe 5.561 1.541 4.695
Fe 5.872 1.541 9.137
B 2.928 0.000 13.798
B 2.953 1.541 9.158
B 2.976 0.000 4.469
B 6.967 0.000 6.838
B 7.002 1.541 2.146
B 6.986 0.000 11.502
O 0.020 1.541 2.940
O 0.118 0.000 12.118
O 0.133 0.000 7.402
O 1.695 1.541 9.742
O 1.807 0.000 5.200
O 1.838 0.000 0.556
O 2.773 0.000 12.428
O 2.919 0.000 3.092
O 3.084 1.541 7.789
O 4.078 1.541 9.967
O 4.197 0.000 5.113
O 4.225 0.000 0.312
O 5.741 1.541 2.719
O 5.835 0.000 12.269
O 5.864 0.000 7.665
O 6.829 0.000 5.462
O 6.902 0.000 10.124
O 7.121 1.541 0.763
```


# 9
Dy7Rh3 after structural relaxation. Source: the Materials Project, functional r²SCAN.

Properties
Total energy = -30.29 eV/atom
Space-group type = P6_3mc
ΔE_f = -6.65 eV per formula unit

extended XYZ file:
```
20
Lattice="9.757 0.000 0.000 -4.878 8.450 0.000 0.000 0.000 6.160" Properties=species:S:1:pos:R:3 pbc="T T T"
Dy -1.835 4.573 0.000
Dy 0.000 2.090 1.906
Dy -3.068 7.404 1.906
Dy 1.810 1.045 4.986
Dy 0.000 5.633 3.192
Dy 1.835 4.573 0.000
Dy 0.000 7.752 0.000
Dy 4.878 0.697 3.080
Dy 3.043 3.876 3.080
Dy 4.878 2.817 0.112
Dy 3.068 7.404 1.906
Dy 7.946 1.045 4.986
Dy 4.878 6.359 4.986
Dy 6.714 3.876 3.080
Rh 0.000 3.202 4.546
Rh -2.106 6.849 4.546
Rh 2.773 1.601 1.467
Rh 2.106 6.849 4.546
Rh 6.984 1.601 1.467
Rh 4.878 5.248 1.467
```


# 10
Zr3Sn after structural relaxation. Source: the Materials Project, functional r²SCAN.

Properties
Total energy = -23.64 eV/atom
Space-group type = P6_3/mmc
ΔE_f = -1.56 eV per formula unit

extended XYZ file:
```
8
Lattice="6.310 0.000 0.000 -3.155 5.465 0.000 0.000 0.000 5.180" Properties=species:S:1:pos:R:3 pbc="T T T"
Zr 0.000 1.835 1.295
Zr -1.566 4.547 1.295
Zr 1.589 0.918 3.885
Zr 1.566 4.547 1.295
Zr 4.721 0.918 3.885
Zr 3.155 3.630 3.885
Sn 0.000 3.643 3.885
Sn 3.155 1.822 1.295
```


# 11
Rb5Tl11Cd2 after structural relaxation. Source: the Materials Project, functional r²SCAN.

Properties
Total energy = -38.76 eV/atom
Space-group type = Amm2
ΔE_f = -2.79 eV per formula unit

extended XYZ file:
```
18
Lattice="5.630 0.000 0.000 0.000 8.952 6.566 0.000 -8.952 6.566" Properties=species:S:1:pos:R:3 pbc="T T T"
Rb 0.000 0.000 0.000
Rb 0.000 -3.450 2.849
Rb 0.000 3.450 2.849
Rb 2.815 -5.548 5.643
Rb 2.815 5.548 5.643
Tl 0.000 -2.864 6.561
Tl 0.000 0.000 4.523
Tl 0.000 -1.766 9.807
Tl 0.000 2.864 6.561
Tl 0.000 1.766 9.807
Tl 2.815 0.000 2.519
Tl 2.815 -1.845 5.067
Tl 2.815 -2.836 8.401
Tl 2.815 1.845 5.067
Tl 2.815 2.836 8.401
Tl 2.815 0.000 10.497
Cd 1.410 0.000 7.473
Cd 4.219 0.000 7.473
```


# 12
CsZnFeF6 after structural relaxation. Source: the Materials Project, functional r²SCAN.

Properties
Total energy = -10.20 eV/atom
Space-group type = Imma
ΔE_f = -24.62 eV per formula unit

extended XYZ file:
```
18
Lattice="-3.645 3.706 5.222 3.645 -3.706 5.222 3.645 3.706 -5.222" Properties=species:S:1:pos:R:3 pbc="T T T"
Cs 0.000 1.853 1.246
Cs 3.645 1.853 3.976
Zn 1.822 1.853 -2.611
Zn 1.822 -1.853 2.611
Fe 3.645 0.000 0.000
Fe 0.000 0.000 5.222
F 2.266 -0.374 1.275
F 5.024 -0.374 1.275
F 3.645 -1.853 3.372
F 3.645 1.853 0.668
F 2.266 3.332 -1.275
F 1.379 -0.374 3.948
F 2.266 4.081 1.275
F 1.379 0.374 6.497
F 0.000 1.853 4.554
F 0.000 5.560 1.850
F -1.379 4.081 3.948
F 1.379 4.081 3.948
```